Entry 1:
# Zr6BI12 PBE relaxed
# Calculated total energy (eV per atom): -4.98
# E (MP2020) (eV/atom): -5.22
# Calculated formation energy (meV/atom): -1207
data_Zr6BI12
_chemical_formula_sum 'Zr18 B3 I36'
_cell_length_a 14.9282
_cell_length_b 14.9282
_cell_length_c 10.3412
_cell_angle_alpha 90.00
_cell_angle_beta 90.00
_cell_angle_gamma 120.00
_symmetry_space_group_name_H-M 'R -3'
_symmetry_Int_Tables_number 148
_symmetry_space_group_name_Hall '-R 3'
loop_
_atom_site_label
_atom_site_type_symbol
_atom_site_fract_x
_atom_site_fract_y
_atom_site_fract_z
Zr1 Zr 0.0403 0.1426 0.3700
B1 B 0.0000 0.0000 0.5000
I1 I 0.0276 0.5870 0.1650
I2 I 0.0500 0.1740 0.8188

Entry 2:
# KZr2P3O12 PBE relaxed
# Size of the total moment (Bohr magnetons per cell): 0.0
# Calculated total energy (eV per atom): -7.95
# E (MP2020) (eV/atom): -8.40
# Calculated formation energy (meV/atom): -3191
data_KZr2P3O12
_chemical_formula_sum 'K6 Zr12 P18 O72'
_cell_length_a 8.8662
_cell_length_b 8.8662
_cell_length_c 24.2618
_cell_angle_alpha 90.00
_cell_angle_beta 90.00
_cell_angle_gamma 120.00
_symmetry_space_group_name_H-M 'R -3 c'
_symmetry_Int_Tables_number 167
_symmetry_space_group_name_Hall '-R 3 2"c'
loop_
_atom_site_label
_atom_site_type_symbol
_atom_site_fract_x
_atom_site_fract_y
_atom_site_fract_z
K1 K 0.0000 0.0000 0.0000
Zr1 Zr 0.0000 0.0000 0.1495
P1 P 0.0000 0.2870 0.2500
O1 O 0.0254 0.1992 0.9042
O2 O 0.0424 0.2104 0.1991

Entry 3:
# Na15MgNb11Si18O72 PBE relaxed
# Size of the total moment (Bohr magnetons per cell): 0.0
# Calculated total energy (eV per atom): -7.57
# E (MP2020) (eV/atom): -7.99
# Calculated formation energy (meV/atom): -2979
data_Na15MgNb11Si18O72
_chemical_formula_sum 'Na15 Mg1 Nb11 Si18 O72'
_cell_length_a 9.039
_cell_length_b 9.056
_cell_length_c 22.555
_cell_angle_alpha 89.88
_cell_angle_beta 90.00
_cell_angle_gamma 60.07
_symmetry_space_group_name_H-M 'P 1'
_symmetry_Int_Tables_number 1
_symmetry_space_group_name_Hall 'P 1'
loop_
_atom_site_label
_atom_site_type_symbol
_atom_site_fract_x
_atom_site_fract_y
_atom_site_fract_z
Na1 Na 0.000 0.000 0.000
Na2 Na 0.000 0.001 0.491
Na3 Na 0.020 0.611 0.740
Na4 Na 0.299 0.666 0.916
Na5 Na 0.323 0.346 0.333
Na6 Na 0.335 0.324 0.826
Na7 Na 0.338 0.687 0.581
Na8 Na 0.370 0.018 0.739
Na9 Na 0.611 0.371 0.739
Na10 Na 0.634 0.001 0.249
Na11 Na 0.666 0.667 0.167
Na12 Na 0.667 0.667 0.662
Na13 Na 0.688 0.976 0.581
Na14 Na 0.700 0.333 0.083
Na15 Na 0.977 0.337 0.582
Mg1 Mg 0.334 0.334 0.684
Nb1 Nb 0.001 0.000 0.643
Nb2 Nb 0.002 0.000 0.353
Nb3 Nb 0.007 0.995 0.143
Nb4 Nb 0.330 0.337 0.187
Nb5 Nb 0.333 0.329 0.976
Nb6 Nb 0.335 0.333 0.476
Nb7 Nb 0.668 0.662 0.309
Nb8 Nb 0.668 0.667 0.514
Nb9 Nb 0.668 0.668 0.811
Nb10 Nb 0.668 0.671 0.021
Nb11 Nb 0.996 0.005 0.855
Si1 Si 0.000 0.291 0.749
Si2 Si 0.003 0.711 0.249
Si3 Si 0.045 0.621 0.584
Si4 Si 0.046 0.333 0.081
Si5 Si 0.289 0.001 0.249
Si6 Si 0.291 0.711 0.750
Si7 Si 0.331 0.623 0.080
Si8 Si 0.337 0.043 0.584
Si9 Si 0.375 0.667 0.414
Si10 Si 0.380 0.957 0.915
Si11 Si 0.621 0.045 0.083
Si12 Si 0.621 0.336 0.584
Si13 Si 0.666 0.959 0.412
Si14 Si 0.669 0.377 0.917
Si15 Si 0.711 0.999 0.748
Si16 Si 0.715 0.289 0.246
Si17 Si 0.957 0.666 0.915
Si18 Si 0.960 0.375 0.414
O1 O 0.017 0.168 0.805
O2 O 0.020 0.167 0.085
O3 O 0.027 0.806 0.306
O4 O 0.027 0.813 0.587
O5 O 0.111 0.510 0.643
O6 O 0.143 0.355 0.139
O7 O 0.146 0.361 0.421
O8 O 0.148 0.499 0.919
O9 O 0.163 0.025 0.587
O10 O 0.163 0.811 0.087
O11 O 0.164 0.312 0.023
O12 O 0.166 0.308 0.747
O13 O 0.170 0.025 0.306
O14 O 0.172 0.523 0.241
O15 O 0.173 0.527 0.527
O16 O 0.175 0.811 0.808
O17 O 0.189 0.837 0.409
O18 O 0.192 0.979 0.190
O19 O 0.195 0.967 0.909
O20 O 0.197 0.834 0.691
O21 O 0.301 0.172 0.527
O22 O 0.308 0.534 0.019
O23 O 0.309 0.527 0.747
O24 O 0.314 0.168 0.243
O25 O 0.361 0.495 0.421
O26 O 0.362 0.144 0.920
O27 O 0.363 0.495 0.136
O28 O 0.381 0.110 0.643
O29 O 0.470 0.686 0.474
O30 O 0.477 0.829 0.970
O31 O 0.478 0.703 0.752
O32 O 0.481 0.834 0.252
O33 O 0.494 0.367 0.919
O34 O 0.495 0.145 0.422
O35 O 0.496 0.865 0.855
O36 O 0.498 0.646 0.357
O37 O 0.499 0.847 0.573
O38 O 0.507 0.634 0.075
O39 O 0.509 0.133 0.142
O40 O 0.510 0.380 0.643
O41 O 0.523 0.172 0.026
O42 O 0.527 0.165 0.747
O43 O 0.527 0.302 0.242
O44 O 0.529 0.301 0.527
O45 O 0.641 0.500 0.858
O46 O 0.641 0.857 0.074
O47 O 0.644 0.865 0.354
O48 O 0.656 0.498 0.573
O49 O 0.687 0.841 0.472
O50 O 0.692 0.469 0.975
O51 O 0.693 0.479 0.253
O52 O 0.704 0.820 0.752
O53 O 0.807 0.034 0.086
O54 O 0.809 0.162 0.303
O55 O 0.814 0.162 0.587
O56 O 0.819 0.013 0.805
O57 O 0.820 0.476 0.753
O58 O 0.826 0.200 0.186
O59 O 0.827 0.701 0.253
O60 O 0.831 0.970 0.689
O61 O 0.835 0.688 0.971
O62 O 0.837 0.189 0.910
O63 O 0.837 0.976 0.409
O64 O 0.844 0.469 0.473
O65 O 0.848 0.656 0.573
O66 O 0.854 0.501 0.076
O67 O 0.859 0.499 0.357
O68 O 0.864 0.643 0.855
O69 O 0.969 0.200 0.689
O70 O 0.972 0.837 0.191
O71 O 0.973 0.190 0.408
O72 O 0.982 0.832 0.910

Entry 4:
# Cs3AlBr6 PBE relaxed
# Size of the total moment (Bohr magnetons per cell): 0.0
# Calculated total energy (eV per atom): -3.13
# E (MP2020) (eV/atom): -3.46
# Calculated formation energy (meV/atom): -1830
data_Cs3AlBr6
_chemical_formula_sum 'Cs12 Al4 Br24'
_cell_length_a 11.881
_cell_length_b 11.881
_cell_length_c 11.881
_cell_angle_alpha 90.00
_cell_angle_beta 90.00
_cell_angle_gamma 90.00
_symmetry_space_group_name_H-M 'F m -3 m'
_symmetry_Int_Tables_number 225
_symmetry_space_group_name_Hall '-F 4 2 3'
loop_
_atom_site_label
_atom_site_type_symbol
_atom_site_fract_x
_atom_site_fract_y
_atom_site_fract_z
Cs1 Cs 0.000 0.000 0.000
Cs2 Cs 0.250 0.250 0.250
Al1 Al 0.000 0.000 0.500
Br1 Br 0.000 0.000 0.287

Entry 5:
# CaN2 PBE relaxed
# Calculated total energy (eV per atom): -6.73
# E (MP2020) (eV/atom): -6.97
# Calculated formation energy (meV/atom): -743
data_CaN2
_chemical_formula_sum 'Ca2 N4'
_cell_length_a 3.623
_cell_length_b 3.623
_cell_length_c 5.967
_cell_angle_alpha 90.00
_cell_angle_beta 90.00
_cell_angle_gamma 90.00
_symmetry_space_group_name_H-M 'I 4/m m m'
_symmetry_Int_Tables_number 139
_symmetry_space_group_name_Hall '-I 4 2'
loop_
_atom_site_label
_atom_site_type_symbol
_atom_site_fract_x
_atom_site_fract_y
_atom_site_fract_z
Ca1 Ca 0.000 0.000 0.000
N1 N 0.000 0.000 0.395

Entry 6:
# Li3BiB2O6 PBE relaxed
# Size of the total moment (Bohr magnetons per cell): 0.0
# Energy above the most stable polymorph in this dataset (meV per atom): 75.7
# Calculated total energy (eV per atom): -6.44
# E (MP2020) (eV/atom): -6.78
# Calculated formation energy (meV/atom): -2390
data_Li3BiB2O6
_chemical_formula_sum 'Li12 Bi4 B8 O24'
_cell_length_a 6.378
_cell_length_b 8.397
_cell_length_c 11.507
_cell_angle_alpha 90.00
_cell_angle_beta 117.38
_cell_angle_gamma 90.00
_symmetry_space_group_name_H-M 'P 1 21/c 1'
_symmetry_Int_Tables_number 14
_symmetry_space_group_name_Hall '-P 2ybc'
loop_
_atom_site_label
_atom_site_type_symbol
_atom_site_fract_x
_atom_site_fract_y
_atom_site_fract_z
Li1 Li 0.014 0.205 0.072
Li2 Li 0.294 0.561 0.118
Li3 Li 0.440 0.732 0.369
Bi1 Bi 0.101 0.123 0.833
B1 B 0.198 0.050 0.398
B2 B 0.373 0.596 0.637
O1 O 0.138 0.106 0.271
O2 O 0.155 0.608 0.914
O3 O 0.226 0.539 0.514
O4 O 0.278 0.158 0.501
O5 O 0.286 0.718 0.686
O6 O 0.401 0.033 0.790

Entry 7:
# Na4Ca3TiSiS5O24 PBE relaxed
# Size of the total moment (Bohr magnetons per cell): 0.0
# Calculated total energy (eV per atom): -6.41
# E (MP2020) (eV/atom): -6.84
# Calculated formation energy (meV/atom): -2526
data_Na4Ca3TiSiS5O24
_chemical_formula_sum 'Na12 Ca9 Ti3 Si3 S15 O72'
_cell_length_a 9.151
_cell_length_b 9.161
_cell_length_c 23.559
_cell_angle_alpha 90.29
_cell_angle_beta 90.02
_cell_angle_gamma 119.55
_symmetry_space_group_name_H-M 'P 1'
_symmetry_Int_Tables_number 1
_symmetry_space_group_name_Hall 'P 1'
loop_
_atom_site_label
_atom_site_type_symbol
_atom_site_fract_x
_atom_site_fract_y
_atom_site_fract_z
Na1 Na 0.000 0.000 0.000
Na2 Na 0.001 0.947 0.499
Na3 Na 0.005 0.340 0.753
Na4 Na 0.017 0.315 0.411
Na5 Na 0.303 0.666 0.329
Na6 Na 0.336 0.643 0.831
Na7 Na 0.340 0.971 0.742
Na8 Na 0.618 0.635 0.750
Na9 Na 0.643 0.287 0.165
Na10 Na 0.650 0.315 0.655
Na11 Na 0.669 0.677 0.418
Na12 Na 0.680 0.647 0.082
Ca1 Ca 0.001 0.991 0.153
Ca2 Ca 0.311 0.660 0.480
Ca3 Ca 0.313 0.644 0.975
Ca4 Ca 0.313 0.647 0.182
Ca5 Ca 0.325 0.649 0.675
Ca6 Ca 0.652 0.315 0.516
Ca7 Ca 0.655 0.304 0.015
Ca8 Ca 0.980 0.979 0.849
Ca9 Ca 0.996 0.974 0.343
Ti1 Ti 0.639 0.296 0.810
Ti2 Ti 0.665 0.326 0.314
Ti3 Ti 0.994 0.007 0.653
Si1 Si 0.287 0.277 0.750
Si2 Si 0.693 0.986 0.749
Si3 Si 0.949 0.608 0.413
S1 S 0.012 0.327 0.584
S2 S 0.014 0.651 0.080
S3 S 0.302 0.957 0.587
S4 S 0.314 0.996 0.250
S5 S 0.321 0.349 0.080
S6 S 0.366 0.318 0.410
S7 S 0.368 0.020 0.909
S8 S 0.622 0.941 0.081
S9 S 0.647 0.665 0.584
S10 S 0.649 0.593 0.910
S11 S 0.655 0.026 0.409
S12 S 0.677 0.658 0.250
S13 S 0.943 0.320 0.908
S14 S 0.974 0.288 0.253
S15 S 0.976 0.682 0.746
O1 O 0.007 0.158 0.591
O2 O 0.013 0.780 0.798
O3 O 0.094 0.428 0.635
O4 O 0.099 0.640 0.131
O5 O 0.107 0.476 0.903
O6 O 0.108 0.659 0.028
O7 O 0.109 0.402 0.532
O8 O 0.116 0.460 0.248
O9 O 0.117 0.647 0.736
O10 O 0.123 0.601 0.408
O11 O 0.144 0.968 0.590
O12 O 0.165 0.190 0.801
O13 O 0.174 0.177 0.082
O14 O 0.186 0.147 0.693
O15 O 0.189 0.188 0.403
O16 O 0.200 0.002 0.906
O17 O 0.210 0.977 0.300
O18 O 0.238 0.019 0.198
O19 O 0.286 0.855 0.536
O20 O 0.309 0.432 0.028
O21 O 0.319 0.879 0.639
O22 O 0.325 0.467 0.740
O23 O 0.333 0.448 0.131
O24 O 0.338 0.848 0.246
O25 O 0.365 0.858 0.904
O26 O 0.375 0.487 0.411
O27 O 0.432 0.289 0.463
O28 O 0.450 0.128 0.582
O29 O 0.454 0.114 0.959
O30 O 0.470 0.121 0.856
O31 O 0.470 0.320 0.360
O32 O 0.474 0.281 0.757
O33 O 0.481 0.341 0.078
O34 O 0.484 0.151 0.257
O35 O 0.495 0.607 0.905
O36 O 0.501 0.848 0.734
O37 O 0.506 0.632 0.246
O38 O 0.510 0.852 0.408
O39 O 0.526 0.857 0.132
O40 O 0.537 0.843 0.029
O41 O 0.545 0.651 0.634
O42 O 0.567 0.680 0.531
O43 O 0.639 0.120 0.358
O44 O 0.647 0.114 0.079
O45 O 0.647 0.485 0.859
O46 O 0.650 0.512 0.963
O47 O 0.661 0.484 0.258
O48 O 0.664 0.114 0.461
O49 O 0.668 0.514 0.582
O50 O 0.696 0.171 0.759
O51 O 0.759 0.921 0.799
O52 O 0.762 0.761 0.301
O53 O 0.776 0.729 0.198
O54 O 0.791 0.949 0.083
O55 O 0.803 0.758 0.907
O56 O 0.813 0.018 0.403
O57 O 0.813 0.298 0.258
O58 O 0.815 0.515 0.750
O59 O 0.817 0.820 0.590
O60 O 0.824 0.480 0.357
O61 O 0.833 0.512 0.466
O62 O 0.835 0.028 0.694
O63 O 0.838 0.294 0.581
O64 O 0.839 0.315 0.856
O65 O 0.840 0.501 0.079
O66 O 0.856 0.320 0.960
O67 O 0.951 0.184 0.203
O68 O 0.954 0.772 0.696
O69 O 0.959 0.790 0.409
O70 O 0.962 0.170 0.908
O71 O 0.990 0.802 0.082
O72 O 0.994 0.211 0.305

Entry 8:
# RbAlS2O8 PBE relaxed
# Size of the total moment (Bohr magnetons per cell): 0.0
# Calculated total energy (eV per atom): -6.24
# E (MP2020) (eV/atom): -6.70
# Calculated formation energy (meV/atom): -2320
data_RbAlS2O8
_chemical_formula_sum 'Rb1 Al1 S2 O8'
_cell_length_a 4.9420
_cell_length_b 4.9420
_cell_length_c 8.4244
_cell_angle_alpha 90.00
_cell_angle_beta 90.00
_cell_angle_gamma 120.00
_symmetry_space_group_name_H-M 'P 3 2 1'
_symmetry_Int_Tables_number 150
_symmetry_space_group_name_Hall 'P 3 2"'
loop_
_atom_site_label
_atom_site_type_symbol
_atom_site_fract_x
_atom_site_fract_y
_atom_site_fract_z
Rb1 Rb 0.0000 0.0000 0.0000
Al1 Al 0.0000 0.0000 0.5000
S1 S 0.3333 0.6667 0.6985
O1 O 0.1212 0.3446 0.6393
O2 O 0.3333 0.6667 0.8716

Entry 9:
# Li2FeS2 PBE relaxed
# Size of the total moment (Bohr magnetons per cell): 4.0
# Energy above the most stable polymorph in this dataset (meV per atom): 147.5
# Calculated total energy (eV per atom): -4.85
# E (MP2020) (eV/atom): -5.05
# Calculated formation energy (meV/atom): -942
data_Li2FeS2
_chemical_formula_sum 'Li4 Fe2 S4'
_cell_length_a 3.390
_cell_length_b 4.659
_cell_length_c 11.038
_cell_angle_alpha 90.00
_cell_angle_beta 90.00
_cell_angle_gamma 90.00
_symmetry_space_group_name_H-M 'I m m m'
_symmetry_Int_Tables_number 71
_symmetry_space_group_name_Hall '-I 2 2'
loop_
_atom_site_label
_atom_site_type_symbol
_atom_site_fract_x
_atom_site_fract_y
_atom_site_fract_z
Li1 Li 0.000 0.000 0.198
Fe1 Fe 0.000 0.000 0.500
S1 S 0.000 0.500 0.136